Material: Li6MnV3P6O24
Method: DFT, PBE with a Hubbard U
State: relaxed

```
data_Li6MnV3P6O24
_chemical_formula_sum 'Li12 Mn2 V6 P12 O48'
_cell_length_a 9.823
_cell_length_b 9.844
_cell_length_c 9.893
_cell_angle_alpha 87.39
_cell_angle_beta 86.96
_cell_angle_gamma 87.24
_space_group_name_H-M_alt 'P 1'
_space_group_IT_number 1
_space_group_name_Hall 'P 1'
loop_
_atom_site_label
_atom_site_type_symbol
_atom_site_fract_x
_atom_site_fract_y
_atom_site_fract_z
_atom_site_occupancy
Li1 Li 0.000 0.000 0.000 1
Li2 Li 0.042 0.321 0.306 1
Li3 Li 0.123 0.803 0.229 1
Li4 Li 0.272 0.899 0.946 1
Li5 Li 0.322 0.587 0.107 1
Li6 Li 0.403 0.921 0.695 1
Li7 Li 0.496 0.403 0.608 1
Li8 Li 0.544 0.703 0.914 1
Li9 Li 0.636 0.621 0.394 1
Li10 Li 0.713 0.211 0.722 1
Li11 Li 0.765 0.368 0.414 1
Li12 Li 0.913 0.086 0.505 1
Mn1 Mn 0.241 0.606 0.493 1
Mn2 Mn 0.521 0.323 0.992 1
V1 V 0.020 0.381 0.933 1
V2 V 0.022 0.598 0.713 1
V3 V 0.302 0.109 0.438 1
V4 V 0.519 0.102 0.213 1
V5 V 0.738 0.876 0.204 1
V6 V 0.804 0.815 0.710 1
P1 P 0.098 0.305 0.611 1
P2 P 0.122 0.899 0.636 1
P3 P 0.222 0.178 0.117 1
P4 P 0.324 0.521 0.820 1
P5 P 0.414 0.805 0.294 1
P6 P 0.443 0.405 0.320 1
P7 P 0.596 0.993 0.912 1
P8 P 0.625 0.020 0.508 1
P9 P 0.717 0.498 0.791 1
P10 P 0.817 0.199 0.136 1
P11 P 0.915 0.674 0.412 1
P12 P 0.945 0.704 0.008 1
O1 O 0.050 0.800 0.053 1
O2 O 0.067 0.277 0.763 1
O3 O 0.068 0.659 0.370 1
O4 O 0.104 0.467 0.581 1
O5 O 0.149 0.737 0.624 1
O6 O 0.151 0.315 0.072 1
O7 O 0.163 0.513 0.839 1
O8 O 0.169 0.968 0.500 1
O9 O 0.176 0.054 0.050 1
O10 O 0.193 0.171 0.275 1
O11 O 0.204 0.934 0.754 1
O12 O 0.243 0.245 0.570 1
O13 O 0.302 0.468 0.371 1
O14 O 0.322 0.760 0.185 1
O15 O 0.363 0.544 0.668 1
O16 O 0.365 0.630 0.913 1
O17 O 0.376 0.739 0.436 1
O18 O 0.383 0.186 0.085 1
O19 O 0.390 0.378 0.862 1
O20 O 0.390 0.965 0.299 1
O21 O 0.440 0.244 0.343 1
O22 O 0.458 0.445 0.169 1
O23 O 0.469 0.046 0.544 1
O24 O 0.479 0.908 0.871 1
O25 O 0.557 0.446 0.409 1
O26 O 0.569 0.767 0.267 1
O27 O 0.586 0.146 0.871 1
O28 O 0.597 0.971 0.073 1
O29 O 0.647 0.463 0.933 1
O30 O 0.649 0.016 0.347 1
O31 O 0.655 0.232 0.129 1
O32 O 0.665 0.880 0.573 1
O33 O 0.672 0.406 0.683 1
O34 O 0.682 0.653 0.764 1
O35 O 0.714 0.133 0.551 1
O36 O 0.735 0.935 0.853 1
O37 O 0.800 0.742 0.069 1
O38 O 0.828 0.557 0.379 1
O39 O 0.847 0.041 0.140 1
O40 O 0.862 0.264 0.261 1
O41 O 0.864 0.813 0.348 1
O42 O 0.876 0.475 0.799 1
O43 O 0.883 0.250 0.000 1
O44 O 0.895 0.683 0.574 1
O45 O 0.944 0.730 0.847 1
O46 O 0.964 0.934 0.649 1
O47 O 0.979 0.551 0.039 1
O48 O 0.991 0.260 0.517 1
```

## Properties
E (MP2020) (eV/cell): -609.2
Distance to the lowest polymorph of the same formula (meV per atom): 49
Electronic total energy (eV/atom): -7.0333
Energy relative to the elements (eV per atom): -2.64